Computed, not measured: an optimized crystal structure of Dy6Se11 at the GGA-PBE level of DFT.

Cell and atoms, written as POSCAR:
```
Dy6Se11
1.0
11.5804 0.0000 0.0000
0.3518 11.6200 0.0000
0.0399 0.0194 12.0753
Dy Se
24 44
Cartesian
0.0000 0.0000 0.0000 Dy
11.5939 0.1546 4.0252 Dy
1.2675 4.0121 10.0038 Dy
1.3901 4.1985 2.0243 Dy
1.4807 4.2687 6.0924 Dy
3.0351 8.6845 4.0043 Dy
3.3098 8.9002 8.0601 Dy
3.3312 9.0289 0.0456 Dy
4.1436 1.2435 5.9818 Dy
4.1302 1.2894 2.0443 Dy
4.2720 1.4950 10.0420 Dy
5.9088 5.8634 8.0793 Dy
6.0366 5.8910 4.0159 Dy
6.0437 5.9195 0.0048 Dy
7.2646 9.9666 5.9794 Dy
7.2869 9.9720 2.0489 Dy
7.5101 10.1209 10.0447 Dy
8.8202 3.0138 8.0427 Dy
8.8469 3.0077 12.0301 Dy
9.0011 3.2041 4.0243 Dy
10.1135 7.0564 10.0555 Dy
10.1831 7.2333 6.0687 Dy
10.2637 7.2105 1.9576 Dy
11.9403 11.6261 8.0184 Dy
0.3344 8.5572 8.2263 Se
0.5094 8.3944 11.8811 Se
1.6083 7.2350 6.3088 Se
1.7828 7.0726 1.5435 Se
2.3448 10.8135 6.0261 Se
2.3339 10.8452 2.0238 Se
2.1453 2.1713 0.0158 Se
2.1926 2.1557 8.0193 Se
2.1900 2.1950 4.0317 Se
2.4826 10.9030 10.0571 Se
2.8927 5.9314 8.4953 Se
3.0618 5.7153 3.9806 Se
4.0931 4.6536 10.3142 Se
4.4673 4.2979 1.9537 Se
4.5455 4.2031 5.9808 Se
5.1654 10.7321 4.0109 Se
5.1649 7.8736 6.0436 Se
5.1804 7.8904 1.9874 Se
5.2212 8.0076 10.1190 Se
5.4164 10.9709 8.0222 Se
5.4291 11.0232 0.0288 Se
5.7926 2.9034 0.2244 Se
5.8358 2.8682 7.7625 Se
6.1819 2.2132 4.0073 Se
7.2211 1.4751 10.0171 Se
7.9676 5.0153 10.0494 Se
7.8933 0.4392 3.9941 Se
8.1330 7.9916 8.0525 Se
8.0429 5.0501 6.0332 Se
8.1551 7.9951 4.0080 Se
8.0720 5.0379 1.9968 Se
8.1829 8.0023 0.0011 Se
8.5452 0.0628 7.6988 Se
8.5534 0.0374 0.2868 Se
10.1892 10.3599 5.9488 Se
10.2432 10.3053 2.0620 Se
10.5584 9.9631 10.0702 Se
10.7671 2.0114 10.0392 Se
10.7853 2.1596 2.0108 Se
10.8262 2.1881 6.0255 Se
10.9634 5.0801 8.0654 Se
11.0476 5.0725 12.0144 Se
11.0825 5.2232 4.0297 Se
11.6456 8.8285 3.9830 Se
```

Results
**Symmetry**: P1 (1)
**DFT formation energy**: -1.973 eV per atom
**Energy**: -377.75 eV/cell

Computed, not measured: an optimized crystal structure of SrDy2Se4 at the GGA-PBE level of DFT.

Cell and atoms, written as POSCAR:
```
SrDy2Se4
1.0
12.5834 0.0000 0.0000
0.0000 4.1564 0.0000
0.0000 0.0000 15.0268
Sr Dy Se
4 8 16
Cartesian
3.0360 1.0391 2.4699 Sr
3.2557 3.1173 9.9833 Sr
9.3277 1.0391 5.0435 Sr
9.5475 3.1173 12.5569 Sr
0.8377 1.0391 5.8668 Dy
1.0076 1.0391 13.5372 Dy
5.2841 3.1173 6.0238 Dy
5.4540 3.1173 13.3802 Dy
7.1294 1.0391 1.6466 Dy
7.2993 1.0391 9.0030 Dy
11.5758 3.1173 1.4896 Dy
11.7457 3.1173 9.1600 Dy
0.3032 3.1173 11.7763 Se
1.1095 1.0391 8.6996 Se
1.6630 3.1173 0.4147 Se
2.6096 3.1173 4.9032 Se
3.6821 1.0391 12.4166 Se
4.6287 1.0391 7.9281 Se
5.1822 3.1173 1.1862 Se
5.9885 1.0391 4.2629 Se
6.5949 3.1173 10.7639 Se
7.4012 1.0391 13.8406 Se
7.9547 3.1173 7.0987 Se
8.9013 3.1173 2.6102 Se
9.9738 1.0391 10.1236 Se
10.9204 1.0391 14.6121 Se
11.4739 3.1173 6.3272 Se
12.2803 1.0391 3.2505 Se
```

Results
**Symmetry**: Pnma (62)
**DFT formation energy**: -2.217 eV per atom
**Energy**: -154.08 eV/cell

Computed, not measured: an optimized crystal structure of Dy2Te3Se at the GGA-PBE level of DFT.

Cell and atoms, written as POSCAR:
```
Dy2Te3Se
1.0
3.6779 -8.1768 0.0000
3.6779 8.1768 0.0000
-0.4246 0.0000 8.6606
Dy Te Se
4 6 2
Cartesian
3.4656 7.1472 4.3303 Dy
3.9229 3.8641 8.6302 Dy
4.1352 -3.8641 4.2999 Dy
3.6779 -7.1472 0.0000 Dy
3.6578 6.5178 1.3817 Te
3.0090 4.6735 5.8646 Te
2.9860 1.4055 0.8449 Te
2.7737 -1.4055 5.1752 Te
3.2213 -4.6735 1.5343 Te
3.4455 -6.5179 5.7120 Te
4.3686 1.2874 7.5150 Se
4.5809 -1.2874 3.1847 Se
```

Results
**Symmetry**: Cc (9)
**DFT formation energy**: -1.047 eV per atom
**Energy**: -55.90 eV/cell

Computed, not measured: an optimized crystal structure of DyTlSe2 at the GGA-PBE level of DFT.

Cell and atoms, written as POSCAR:
```
DyTlSe2
1.0
4.1874 0.0000 0.0000
-2.0937 3.6264 0.0000
0.0000 0.0000 23.3213
Dy Tl Se
3 3 6
Cartesian
0.0000 0.0000 0.0000 Dy
0.0000 2.4176 15.5476 Dy
2.0937 1.2088 7.7738 Dy
0.0000 0.0000 11.6607 Tl
0.0000 2.4176 3.8869 Tl
2.0937 1.2088 19.4344 Tl
0.0000 0.0000 6.1848 Se
0.0000 0.0000 17.1366 Se
0.0000 2.4176 9.3628 Se
0.0000 2.4176 21.7323 Se
2.0937 1.2088 1.5890 Se
2.0937 1.2088 13.9585 Se
```

Results
**Symmetry**: R-3m (166)
**DFT formation energy**: -1.619 eV per atom
**Energy**: -58.48 eV/cell

Computed, not measured: an optimized crystal structure of DySi2 at the GGA-PBE level of DFT.

Cell and atoms, written as POSCAR:
```
DySi2
1.0
3.9944 0.0000 0.0000
0.0000 3.9944 0.0000
0.0000 0.0000 14.5100
Dy Si
4 8
Cartesian
0.0000 0.9986 5.4412 Dy
0.0000 2.9958 9.0687 Dy
1.9972 0.9986 1.8137 Dy
1.9972 2.9958 12.6962 Dy
0.0000 0.9986 11.4956 Si
0.0000 0.9986 13.8969 Si
0.0000 2.9958 0.6131 Si
0.0000 2.9958 3.0144 Si
1.9972 0.9986 7.8681 Si
1.9972 0.9986 10.2694 Si
1.9972 2.9958 4.2406 Si
1.9972 2.9958 6.6419 Si
```

Results
**Symmetry**: I4_1/amd (141)
**DFT formation energy**: -0.497 eV per atom
**Energy**: -68.36 eV/cell

Computed, not measured: an optimized crystal structure of DySi2 at the GGA-PBE level of DFT.

Cell and atoms, written as POSCAR:
```
DySi2
1.0
4.0947 0.0000 0.0000
-2.0473 3.5461 0.0000
0.0000 0.0000 3.9519
Dy Si
1 2
Cartesian
0.0000 0.0000 0.0000 Dy
0.0000 2.3641 1.9759 Si
2.0473 1.1820 1.9759 Si
```

Results
**Symmetry**: P6/mmm (191)
**DFT formation energy**: -0.477 eV per atom
**Energy**: -17.03 eV/cell

Computed, not measured: an optimized crystal structure of Dy5Si3 at the GGA-PBE level of DFT.

Cell and atoms, written as POSCAR:
```
Dy5Si3
1.0
8.4456 0.0000 0.0000
-4.2228 7.3141 0.0000
0.0000 0.0000 6.3693
Dy Si
10 6
Cartesian
-1.0263 1.7777 1.5923 Dy
-3.1964 5.5364 4.7770 Dy
2.0527 0.0000 1.5923 Dy
1.0263 1.7777 4.7770 Dy
0.0000 4.8761 0.0000 Dy
0.0000 4.8761 3.1846 Dy
4.2228 2.4380 0.0000 Dy
4.2228 2.4380 3.1846 Dy
6.3929 0.0000 4.7770 Dy
3.1964 5.5364 1.5923 Dy
-1.6661 2.8858 4.7770 Si
-2.5566 4.4282 1.5923 Si
3.3323 0.0000 4.7770 Si
1.6661 2.8858 1.5923 Si
5.1133 0.0000 1.5923 Si
2.5566 4.4282 4.7770 Si
```

Results
**Symmetry**: P6_3/mcm (193)
**DFT formation energy**: -0.655 eV per atom
**Energy**: -89.52 eV/cell

Computed, not measured: an optimized crystal structure of Dy5Si4 at the GGA-PBE level of DFT.

Cell and atoms, written as POSCAR:
```
Dy5Si4
1.0
7.4315 0.0000 0.0000
0.0000 14.5745 0.0000
0.0000 0.0000 7.7012
Dy Si
20 16
Cartesian
0.2023 1.4327 1.4109 Dy
0.2023 5.8546 1.4109 Dy
1.1177 10.9309 3.9487 Dy
1.3454 1.7935 5.2363 Dy
1.3454 5.4938 5.2363 Dy
2.3703 9.0807 1.3857 Dy
2.3703 12.7810 1.3857 Dy
2.5981 3.6436 0.0981 Dy
3.5135 8.7199 5.2615 Dy
3.5135 13.1418 5.2615 Dy
3.9181 1.4327 2.4397 Dy
3.9181 5.8546 2.4397 Dy
4.8335 10.9309 7.6031 Dy
5.0612 1.7935 6.3155 Dy
5.0612 5.4938 6.3155 Dy
6.0861 9.0807 2.4649 Dy
6.0861 12.7810 2.4649 Dy
6.3138 3.6436 3.7525 Dy
7.2292 8.7199 6.2903 Dy
7.2292 13.1418 6.2903 Dy
0.1711 10.9309 0.7898 Si
1.0899 7.8676 3.6314 Si
1.0899 13.9941 3.6314 Si
1.7257 3.6436 2.8712 Si
1.9901 10.9309 6.7218 Si
2.6259 0.5804 7.4820 Si
2.6259 6.7068 7.4820 Si
3.5447 3.6436 4.6404 Si
3.8869 10.9309 3.0608 Si
4.8057 7.8676 0.2192 Si
4.8057 13.9941 0.2192 Si
5.4414 3.6436 0.9794 Si
5.7059 10.9309 4.8300 Si
6.3416 0.5804 4.0699 Si
6.3416 6.7068 4.0699 Si
7.2605 3.6436 6.9114 Si
```

Results
**Symmetry**: Pnma (62)
**DFT formation energy**: -0.713 eV per atom
**Energy**: -205.76 eV/cell

- Which of these has the highest DFT formation energy?
  number 6

Copy entry 3 word for word.
Computed, not measured: an optimized crystal structure of Dy2Te3Se at the GGA-PBE level of DFT.

Cell and atoms, written as POSCAR:
```
Dy2Te3Se
1.0
3.6779 -8.1768 0.0000
3.6779 8.1768 0.0000
-0.4246 0.0000 8.6606
Dy Te Se
4 6 2
Cartesian
3.4656 7.1472 4.3303 Dy
3.9229 3.8641 8.6302 Dy
4.1352 -3.8641 4.2999 Dy
3.6779 -7.1472 0.0000 Dy
3.6578 6.5178 1.3817 Te
3.0090 4.6735 5.8646 Te
2.9860 1.4055 0.8449 Te
2.7737 -1.4055 5.1752 Te
3.2213 -4.6735 1.5343 Te
3.4455 -6.5179 5.7120 Te
4.3686 1.2874 7.5150 Se
4.5809 -1.2874 3.1847 Se
```

Results
**Symmetry**: Cc (9)
**DFT formation energy**: -1.047 eV per atom
**Energy**: -55.90 eV/cell

- Which value of DFT formation energy does entry 2 give?
  -2.217 eV per atom

- What is the formula in the sixth record?
  DySi2